[1]
This record from the Materials Project database describes an optimized crystal structure of BaTi4O9. The functional is r²SCAN.

The structure in POSCAR format:
```
BaTi4O9
1.0
3.7973 0.0000 0.0000
0.0000 6.3312 0.0000
0.0000 0.0000 14.5993
Ti O Ba
8 18 2
Direct
0.5000 0.8066 0.7122
0.0000 0.7461 0.1220
0.0000 0.1934 0.7878
0.5000 0.8066 0.2878
0.0000 0.7461 0.8780
0.5000 0.2539 0.6220
0.0000 0.1934 0.2122
0.5000 0.2539 0.3780
0.5000 0.7407 0.8491
0.5000 0.9575 0.5991
0.5000 0.3392 0.5000
0.5000 0.5619 0.3457
0.5000 0.9575 0.4009
0.0000 0.0425 0.0991
0.0000 0.8493 0.7396
0.5000 0.5619 0.6543
0.0000 0.4381 0.8457
0.0000 0.8493 0.2604
0.5000 0.7407 0.1509
0.0000 0.2593 0.6509
0.0000 0.0425 0.9009
0.0000 0.2593 0.3491
0.0000 0.6608 0.0000
0.0000 0.4381 0.1543
0.5000 0.1507 0.7604
0.5000 0.1507 0.2396
0.0000 0.7123 0.5000
0.5000 0.2877 0.0000
```

Summary:
For the calculated total energy, the calculation gives -12.779 eV per atom. For the formation energy, the calculation gives -3.3504 eV/atom.

***

[2]
This record from the Materials Project database describes an optimized crystal structure of Ca3PCl3. The functional is r²SCAN.

The structure in POSCAR format:
```
Ca3PCl3
1.0
-4.0548 0.1287 -3.9890
-3.1731 -3.5532 3.1107
-2.4208 4.4417 2.6041
Ca Cl P
3 3 1
Direct
0.0000 0.0000 0.5000
0.5000 0.0000 0.0000
0.0000 0.5000 0.0000
0.5000 0.0000 0.5000
0.5000 0.5000 0.0000
0.0000 0.5000 0.5000
0.0000 0.0000 0.0000
```

Summary:
For the calculated total energy, the calculation gives -9.193 eV per atom. For the formation energy, the calculation gives -2.2533 eV/atom.

***

[3]
This record from the Materials Project database describes an optimized crystal structure of Zn3Cd. The functional is r²SCAN.

The structure in POSCAR format:
```
Zn3Cd
1.0
-2.0144 2.0144 4.0157
2.0144 -2.0144 4.0157
2.0144 2.0144 -4.0157
Zn Cd
3 1
Direct
0.7500 0.2500 0.5000
0.5000 0.5000 0.0000
0.2500 0.7500 0.5000
0.0000 0.0000 0.0000
```

Summary:
For the calculated total energy, the calculation gives -11.598 eV per atom. For the formation energy, the calculation gives 0.1112 eV/atom.